VASP calculation (GGA-PBE) on crystalline SnS at its relaxed geometry.

Output
Crystal system = triclinic
Calculated formation energy = -0.638 eV per atom
MP2020-corrected energy = -4.71 eV per atom
Uncorrected energy = -4.4594 eV per atom
Space-group type = No. 2

Cell and atoms, written as POSCAR:
```
SnS
1.0
4.105 0.000 0.000
-0.001 4.109 0.000
-0.123 -1.540 10.933
Sn S
2 2
Cartesian
0.950 0.243 3.988
3.032 2.326 6.944
0.965 0.257 6.564
3.017 2.312 4.368
```


VASP calculation (GGA-PBE) on crystalline MgSb2O4 at its relaxed geometry.

Output
Crystal system = triclinic
Calculated formation energy = -1.966 eV per atom
Total magnetic moment = 0.000 μB per atom
MP2020-corrected energy = -6.20 eV per atom
Polymorph energy (0 for the lowest one) = 204.4 meV/atom
Uncorrected energy = -5.8092 eV per atom
Space-group type = No. 1

Cell and atoms, written as POSCAR:
```
MgSb2O4
1.0
6.361 0.000 0.000
3.096 6.212 0.000
0.197 0.570 16.997
Mg Sb O
6 12 24
Cartesian
0.000 0.000 0.000
0.362 0.813 10.391
3.280 3.134 11.040
3.288 2.971 4.839
6.532 4.697 16.175
6.029 0.413 5.979
1.720 1.903 13.629
3.362 4.951 14.686
3.137 2.369 0.435
4.711 5.263 2.854
4.574 4.181 8.275
6.108 5.748 5.635
3.581 0.406 9.309
5.014 1.885 13.545
6.527 4.802 12.691
6.290 2.211 2.318
7.926 5.061 2.942
7.667 3.233 7.703
1.764 3.568 12.408
1.701 3.169 3.472
3.180 5.366 4.324
3.097 5.073 1.653
1.482 1.250 0.709
3.436 4.865 9.735
2.110 1.674 9.817
3.239 3.260 7.029
4.542 5.825 7.002
3.338 2.998 15.336
4.710 5.542 16.015
3.343 1.561 12.368
4.775 3.341 3.408
4.948 3.556 12.356
4.033 1.171 5.366
6.588 5.206 10.701
4.989 1.667 9.838
4.894 1.335 0.747
6.424 3.929 1.291
6.540 3.372 14.549
7.689 5.106 6.632
8.323 5.594 15.946
6.956 2.163 6.259
6.586 1.199 12.335
```


VASP calculation (GGA-PBE) on crystalline Pr4Si2Se3O7 at its relaxed geometry.

Output
Crystal system = tetragonal
Calculated formation energy = -3.086 eV per atom
Total magnetic moment = 0.000 μB per atom
MP2020-corrected energy = -7.78 eV per atom
Uncorrected energy = -7.4787 eV per atom
Space-group type = No. 141

Cell and atoms, written as POSCAR:
```
Pr4Si2Se3O7
1.0
-6.132 6.132 7.329
6.132 -6.132 7.329
6.132 6.132 -7.329
Pr Si Se O
16 8 12 28
Cartesian
2.114 -0.952 1.832
10.149 -0.952 1.832
6.132 0.126 2.430
2.114 5.180 -1.832
4.018 -0.952 5.497
3.191 3.066 1.234
9.072 3.066 1.234
0.000 0.126 4.899
6.132 6.006 2.430
-2.940 3.066 6.094
2.940 3.066 6.094
2.114 7.084 1.832
4.018 0.952 9.161
0.000 6.006 4.899
-4.018 7.084 5.497
4.018 7.084 5.497
4.613 3.066 -2.288
7.650 3.066 -2.288
0.000 1.548 1.376
0.000 4.584 1.376
6.132 1.548 5.952
6.132 4.584 5.952
-1.518 3.066 9.617
1.518 3.066 9.617
4.337 0.000 0.000
7.926 0.000 0.000
6.132 -3.066 5.497
3.066 7.403 -3.664
3.066 1.271 3.664
6.132 3.066 1.832
4.337 6.132 0.000
1.795 0.000 7.329
0.000 3.066 5.497
-3.066 4.860 3.664
3.066 4.860 3.664
0.000 9.197 1.832
4.408 -1.623 3.055
7.855 -1.623 3.055
6.132 3.066 -1.618
1.443 1.342 0.609
10.820 1.342 0.609
4.408 4.508 -3.055
1.724 -1.623 4.274
3.372 3.066 -1.178
8.891 3.066 -1.178
0.000 0.306 2.486
6.132 0.306 4.842
0.000 3.066 2.046
1.443 4.790 0.609
4.689 -1.342 7.938
1.443 7.473 -0.609
4.689 1.342 6.719
6.132 3.066 5.282
0.000 5.825 2.486
6.132 5.825 4.842
-2.760 3.066 8.507
2.760 3.066 8.507
4.408 7.755 3.055
1.724 1.623 10.384
-4.689 4.790 6.719
4.689 4.790 6.719
0.000 3.066 8.947
-1.724 7.755 4.274
1.724 7.755 4.274
```


VASP calculation (GGA-PBE) on crystalline Ti3Cr9Si4 at its relaxed geometry.

Output
Crystal system = monoclinic
Calculated formation energy = -0.353 eV per atom
Total magnetic moment = 0.000 μB per atom
MP2020-corrected energy = -8.62 eV per atom
Uncorrected energy = -8.6374 eV per atom
Space-group type = No. 6

Cell and atoms, written as POSCAR:
```
Ti3Cr9Si4
1.0
4.621 0.000 0.000
0.000 4.638 0.000
-0.002 0.000 9.205
Ti Cr Si
3 9 4
Cartesian
0.000 0.000 0.000
0.017 0.000 4.643
1.179 2.319 1.187
0.006 0.000 2.345
0.020 0.000 6.913
1.197 2.319 5.784
2.330 1.175 3.499
2.327 1.173 8.051
2.330 3.462 3.499
2.327 3.465 8.051
3.456 2.319 5.781
3.472 2.319 1.182
0.004 2.319 3.492
0.008 2.319 8.031
2.323 0.000 5.801
2.342 0.000 1.198
```


VASP calculation (GGA-PBE) on crystalline U3CuO10 at its relaxed geometry.

Output
Crystal system = triclinic
Calculated formation energy = -3.195 eV per atom
Total magnetic moment = 0.072 μB per atom
MP2020-corrected energy = -9.44 eV per atom
Uncorrected energy = -8.9512 eV per atom
Space-group type = No. 2

Cell and atoms, written as POSCAR:
```
U3CuO10
1.0
5.633 0.000 0.000
1.843 5.362 0.000
2.646 1.699 6.927
U Cu O
3 1 10
Cartesian
0.000 0.000 0.000
4.267 3.365 1.867
5.854 3.695 5.059
1.323 0.849 3.463
2.824 5.365 1.741
2.865 2.359 2.492
5.491 5.339 6.684
4.435 2.732 5.939
4.474 4.668 3.706
5.648 2.393 3.221
5.686 4.328 0.988
4.631 1.722 0.242
7.256 4.702 4.435
7.297 1.695 5.186
```


VASP calculation (GGA-PBE) on crystalline ZrTiO4 at its relaxed geometry.

Output
Crystal system = orthorhombic
Calculated formation energy = -3.594 eV per atom
MP2020-corrected energy = -9.63 eV per atom
Uncorrected energy = -9.1751 eV per atom
Space-group type = No. 18

Cell and atoms, written as POSCAR:
```
ZrTiO4
1.0
4.784 0.000 0.000
0.000 5.150 0.000
0.000 0.000 5.720
Zr Ti O
2 2 8
Cartesian
0.000 0.000 0.442
2.392 2.575 5.278
0.000 2.575 2.466
2.392 0.000 3.254
1.032 3.396 0.849
1.140 0.911 2.156
1.252 3.487 3.564
1.360 0.821 4.871
3.424 4.329 4.871
3.532 1.664 3.564
3.644 4.239 2.156
3.752 1.754 0.849
```


> Which of these has the lowest uncorrected energy?

ZrTiO4


> What is the formula in the third record?

Pr4Si2Se3O7


> The highest MP2020-corrected energy belongs to which entry?

SnS